1.
36
Lattice="10.638 0.000 0.000 0.000 18.458 0.000 0.000 0.000 4.814" Properties=species:S:1:pos:R:3 comment="Ta4CoTe4 (GGA-PBE, relaxed)" magmom_total_mub_per_atom=0.002 pbc="T T T"
Ta 0.700 2.203 0.000
Ta 1.075 16.414 2.407
Ta 2.061 1.085 2.407
Ta 2.216 17.773 0.000
Ta 3.103 8.544 0.000
Ta 3.259 10.314 2.407
Ta 4.245 7.185 2.407
Ta 4.620 11.432 0.000
Ta 6.019 7.026 0.000
Ta 6.394 11.273 2.407
Ta 7.380 8.145 2.407
Ta 7.536 9.914 0.000
Ta 8.422 0.685 0.000
Ta 8.578 17.374 2.407
Ta 9.564 2.044 2.407
Ta 9.939 16.255 0.000
Co 0.000 0.000 1.206
Co 0.000 0.000 3.608
Co 5.319 9.229 1.206
Co 5.319 9.229 3.608
Te 1.175 3.813 2.407
Te 1.503 8.026 2.407
Te 1.757 11.081 0.000
Te 1.835 14.932 0.000
Te 3.484 5.703 0.000
Te 3.562 1.851 0.000
Te 3.816 17.255 2.407
Te 4.144 13.042 2.407
Te 6.495 5.416 2.407
Te 6.823 1.203 2.407
Te 7.076 16.607 0.000
Te 7.154 12.756 0.000
Te 8.803 3.527 0.000
Te 8.881 7.378 0.000
Te 9.135 10.432 2.407
Te 9.463 14.645 2.407

=====

2.
Material: TaCo2Te2
Method: DFT, GGA-PBE
State: relaxed

The structure in extended XYZ format:
```
40
Lattice="18.110 0.000 0.000 0.000 6.575 0.000 0.000 0.000 6.551" Properties=species:S:1:pos:R:3 pbc="T T T"
Ta 4.060 1.644 0.986
Ta 4.265 4.932 0.989
Ta 4.790 1.644 4.265
Ta 4.995 4.932 4.261
Ta 13.116 1.644 2.290
Ta 13.320 4.932 2.286
Ta 13.846 1.644 5.562
Ta 14.050 4.932 5.565
Co 3.297 3.502 2.986
Co 3.296 3.512 5.541
Co 3.296 6.351 5.541
Co 3.297 6.361 2.986
Co 5.758 0.215 6.262
Co 5.759 0.224 2.266
Co 5.759 3.064 2.266
Co 5.758 3.073 6.262
Co 12.352 3.502 0.289
Co 12.352 3.512 4.285
Co 12.352 6.351 4.285
Co 12.352 6.361 0.289
Co 14.814 0.215 3.565
Co 14.814 0.224 1.010
Co 14.814 3.064 1.010
Co 14.814 3.073 3.565
Te 1.627 4.932 4.255
Te 1.720 3.307 0.987
Te 1.720 6.556 0.987
Te 1.969 1.644 4.278
Te 7.087 4.932 1.002
Te 7.335 0.019 4.263
Te 7.335 3.269 4.263
Te 7.428 1.644 0.980
Te 10.682 4.932 5.571
Te 10.775 3.307 2.288
Te 10.775 6.556 2.288
Te 11.024 1.644 5.549
Te 16.142 4.932 2.273
Te 16.390 0.019 5.564
Te 16.390 3.269 5.564
Te 16.483 1.644 2.296
```

=====

no.,VASP energy (Ry/atom),energy of formation (eV/atom)
1,-0.5761,-0.569
2,-0.4992,-0.488